Entry 1:
NdCuSO: relaxed, PBE.

abc: 3.9421 3.9421 8.4595
angles: 90.00 90.00 90.00
Positions (direct):
Nd: 0.2500 0.2500 0.1457
Nd: 0.7500 0.7500 0.8543
Cu: 0.2500 0.7500 0.5000
Cu: 0.7500 0.2500 0.5000
S: 0.2500 0.2500 0.6655
S: 0.7500 0.7500 0.3345
O: 0.2500 0.7500 0.0000
O: 0.7500 0.2500 0.0000

Values from the calculation:
* MP2020-corrected energy: -6.749 eV/atom
* V: 16.4 Å³/atom
* formation energy: -2.26 eV/atom
* total energy: -6.452 eV per atom

***

Entry 2:
CaSbO3: relaxed, PBE.

abc: 5.7240 8.1565 5.9245
angles: 90.00 90.25 90.00
Positions (direct):
Ca: 0.0055 0.2500 0.0506
Ca: 0.4852 0.2500 0.5576
Ca: 0.5148 0.7500 0.4424
Ca: 0.9945 0.7500 0.9494
Sb: 0.0000 0.0000 0.5000
Sb: 0.0000 0.5000 0.5000
Sb: 0.5000 0.0000 0.0000
Sb: 0.5000 0.5000 0.0000
O: 0.1156 0.7500 0.5496
O: 0.1715 0.0573 0.7873
O: 0.1715 0.4427 0.7873
O: 0.2885 0.0579 0.3228
O: 0.2885 0.4421 0.3228
O: 0.3805 0.7500 0.0554
O: 0.6195 0.2500 0.9446
O: 0.7115 0.5579 0.6772
O: 0.7115 0.9421 0.6772
O: 0.8285 0.5573 0.2127
O: 0.8285 0.9427 0.2127
O: 0.8844 0.2500 0.4504

Values from the calculation:
* MP2020-corrected energy: -6.633 eV/atom
* V: 13.8 Å³/atom
* formation energy: -2.44 eV/atom
* total energy: -6.220 eV per atom

***

Entry 3:
MnSb: relaxed, PBE.

abc: 3.3664 3.3664 3.3664
angles: 90.00 90.00 90.00
Positions (direct):
Mn: 0.0000 0.0000 0.0000
Sb: 0.5000 0.5000 0.5000

Values from the calculation:
* MP2020-corrected energy: -6.443 eV/atom
* V: 19.1 Å³/atom
* formation energy: 0.20 eV/atom
* total energy: -6.347 eV per atom